Entry one
A plane-wave DFT calculation with GGA+U was carried out for MgCo2P2O8F2 after structural relaxation.

abc: 5.2535 5.3579 7.3927
angles: 108.64 107.61 97.04
Fractional coordinates of all 15 atoms:
Mg1 0.0000 0.0000 0.0000
Co1 0.5025 0.8233 0.2294
Co2 0.9765 0.3297 0.7010
P1 0.3964 0.4234 0.4596
P2 0.5670 0.2378 0.9717
O1 0.2324 0.4417 0.6043
O2 0.2502 0.1415 0.8683
O3 0.3084 0.1256 0.2949
O4 0.3151 0.6091 0.3418
O5 0.6468 0.5483 0.0956
O6 0.6804 0.0700 0.1034
O7 0.7035 0.5112 0.5956
O8 0.7337 0.1785 0.8264
F1 0.1307 0.6724 0.9677
F2 0.8243 0.9836 0.4719

## Properties
The value obtained for the volume is 182 Å³/f.u.

***

Entry two
A plane-wave DFT calculation with GGA+U was carried out for MgCo2P2O8F2 after structural relaxation.

abc: 5.1536 5.3808 7.3462
angles: 110.99 107.91 92.01
Fractional coordinates of all 15 atoms:
Mg1 0.0000 0.0000 0.0000
Co1 0.5003 0.0002 0.5011
Co2 0.9990 0.5009 0.0018
P1 0.3877 0.5910 0.7439
P2 0.6112 0.4095 0.2585
O1 0.1818 0.6696 0.8672
O2 0.3096 0.3154 0.0952
O3 0.3373 0.2796 0.6405
O4 0.3417 0.7364 0.5968
O5 0.6579 0.2651 0.4061
O6 0.6643 0.7209 0.3625
O7 0.6886 0.6868 0.9085
O8 0.8155 0.3299 0.1340
F1 0.1451 0.8710 0.2340
F2 0.8561 0.1314 0.7684

## Properties
The value obtained for the volume is 179 Å³/f.u.

***

Which of them is most stable, and which least? Most stable: entry two; least stable: entry one.

***

Entry one
A plane-wave DFT calculation with GGA+U was carried out for CoOF after structural relaxation.

abc: 4.4804 4.4804 6.0860
angles: 90.00 90.00 90.00
Fractional coordinates of all 12 atoms:
Co1 0.0281 0.0281 0.0000
Co2 0.4719 0.5281 0.2500
Co3 0.5281 0.4719 0.7500
Co4 0.9719 0.9719 0.5000
O1 0.1800 0.8200 0.2500
O2 0.3200 0.3200 0.0000
O3 0.6800 0.6800 0.5000
O4 0.8200 0.1800 0.7500
F1 0.2217 0.7783 0.7500
F2 0.2783 0.2783 0.5000
F3 0.7217 0.7217 0.0000
F4 0.7783 0.2217 0.2500

## Properties
The value obtained for the volume is 31 Å³/f.u.

***

Entry two
A plane-wave DFT calculation with GGA+U was carried out for CoOF after structural relaxation.

abc: 4.6488 2.9936 13.8758
angles: 90.00 95.28 90.00
Fractional coordinates of all 18 atoms:
Co1 0.0000 0.0000 0.0000
Co2 0.0358 0.0000 0.6691
Co3 0.0868 0.0000 0.3351
Co4 0.4719 0.5000 0.1674
Co5 0.5189 0.5000 0.8346
Co6 0.5614 0.5000 0.5016
O1 0.1895 0.5000 0.0650
O2 0.2184 0.5000 0.7325
O3 0.2593 0.5000 0.4016
O4 0.3161 0.0000 0.2332
O5 0.8130 0.5000 0.9375
O6 0.8589 0.5000 0.6031
F1 0.3170 0.0000 0.8995
F2 0.3658 0.0000 0.5667
F3 0.6938 0.0000 0.1068
F4 0.7199 0.0000 0.7700
F5 0.7638 0.0000 0.4338
F6 0.8263 0.5000 0.2701

## Properties
The value obtained for the volume is 32 Å³/f.u.

***

Which of them is most stable, and which least? Most stable: entry two; least stable: entry one.

***

Entry one
A plane-wave DFT calculation with GGA+U was carried out for Co3OF5 after structural relaxation.

abc: 5.6764 5.6781 7.4764
angles: 72.51 72.67 71.68
Fractional coordinates of all 18 atoms:
Co1 0.0000 0.0000 0.0000
Co2 0.0134 0.0047 0.4970
Co3 0.3526 0.3393 0.6653
Co4 0.3810 0.3069 0.1549
Co5 0.6581 0.6494 0.8263
Co6 0.6801 0.6810 0.3224
O1 0.4579 0.4428 0.8633
O2 0.6466 0.0367 0.1630
F1 0.0615 0.6227 0.1636
F2 0.1173 0.1060 0.1953
F3 0.2500 0.2379 0.4575
F4 0.3165 0.7014 0.4922
F5 0.3713 0.9699 0.8297
F6 0.5840 0.5714 0.1223
F7 0.7137 0.3098 0.4891
F8 0.7766 0.7647 0.5377
F9 0.8965 0.8817 0.7987
F10 0.9820 0.3622 0.8272

## Properties
The value obtained for the volume is 106 Å³/f.u.

***

Entry two
A plane-wave DFT calculation with GGA+U was carried out for Co3OF5 after structural relaxation.

abc: 4.7005 5.6694 7.8464
angles: 87.07 88.36 88.27
Fractional coordinates of all 18 atoms:
Co1 0.0000 0.0000 0.0000
Co2 0.0000 0.3305 0.6633
Co3 0.0000 0.6695 0.3367
Co4 0.4662 0.8423 0.6915
Co5 0.5000 0.5000 0.0000
Co6 0.5338 0.1577 0.3085
O1 0.2846 0.8094 0.9047
O2 0.7154 0.1906 0.0953
F1 0.1932 0.9662 0.2313
F2 0.1955 0.6311 0.5676
F3 0.1981 0.2937 0.8960
F4 0.3086 0.4578 0.2364
F5 0.3117 0.1305 0.5569
F6 0.6883 0.8695 0.4431
F7 0.6914 0.5422 0.7636
F8 0.8019 0.7063 0.1040
F9 0.8045 0.3689 0.4324
F10 0.8068 0.0338 0.7687

## Properties
The value obtained for the volume is 104 Å³/f.u.

***

Which of them is most stable, and which least? Most stable: entry one; least stable: entry two.

***

Entry one
A plane-wave DFT calculation with GGA+U was carried out for Co3OF5 after structural relaxation.

abc: 4.7292 4.7292 9.4216
angles: 90.79 90.79 91.46
Fractional coordinates of all 18 atoms:
Co1 0.0000 0.0000 0.0000
Co2 0.0027 0.0027 0.3254
Co3 0.4758 0.4758 0.1630
Co4 0.5000 0.5000 0.5000
Co5 0.5242 0.5242 0.8370
Co6 0.9973 0.9973 0.6746
O1 0.1740 0.1740 0.1469
O2 0.8260 0.8260 0.8531
F1 0.1937 0.1937 0.5023
F2 0.2120 0.2120 0.8403
F3 0.2946 0.6867 0.3311
F4 0.2985 0.7015 0.0000
F5 0.3133 0.7054 0.6689
F6 0.6867 0.2946 0.3311
F7 0.7015 0.2985 0.0000
F8 0.7054 0.3133 0.6689
F9 0.7880 0.7880 0.1597
F10 0.8063 0.8063 0.4977

## Properties
The value obtained for the volume is 105 Å³/f.u.

***

Entry two
A plane-wave DFT calculation with GGA+U was carried out for Co3OF5 after structural relaxation.

abc: 3.1504 4.6977 14.1508
angles: 90.00 90.00 90.00
Fractional coordinates of all 18 atoms:
Co1 0.0000 0.2212 0.0000
Co2 0.0000 0.2295 0.3452
Co3 0.0000 0.2741 0.6727
Co4 0.5000 0.7259 0.1727
Co5 0.5000 0.7705 0.8452
Co6 0.5000 0.7788 0.5000
O1 0.0000 0.9525 0.4380
O2 0.5000 0.0475 0.9380
F1 0.0000 0.5316 0.2428
F2 0.0000 0.5577 0.9026
F3 0.0000 0.5751 0.5681
F4 0.0000 0.9307 0.1100
F5 0.0000 0.9538 0.7730
F6 0.5000 0.0462 0.2730
F7 0.5000 0.0693 0.6100
F8 0.5000 0.4249 0.0681
F9 0.5000 0.4423 0.4026
F10 0.5000 0.4684 0.7428

## Properties
The value obtained for the volume is 105 Å³/f.u.

***

Which of them is most stable, and which least? Most stable: entry one; least stable: entry two.